[1]
A relaxed structure of Li3V3B2O10, computed with PBE with a Hubbard U. Values from VASP.

The structure in Quantum ESPRESSO input format:
```
&SYSTEM
  ibrav = 0, nat = 36, ntyp = 4
/
ATOMIC_SPECIES
Li 6.94 Li.upf
V 50.94 V.upf
B 10.81 B.upf
O 16.00 O.upf
CELL_PARAMETERS angstrom
9.434 0.000 0.000
0.000 2.993 0.000
-0.178 0.000 12.063
ATOMIC_POSITIONS angstrom
Li 0.000 0.000 0.000
Li -0.028 1.496 2.390
Li -0.031 1.496 5.837
Li 4.519 1.496 11.949
Li 4.643 1.496 8.555
Li 4.738 1.496 3.175
V -0.126 1.496 9.339
V 2.188 0.000 7.230
V 2.452 0.000 1.221
V 4.725 0.000 5.867
V 6.776 0.000 10.678
V 7.200 0.000 4.432
B 2.221 0.000 4.212
B 2.437 0.000 10.207
B 6.987 0.000 1.559
B 7.219 0.000 7.479
O 1.020 1.496 7.707
O 1.010 0.000 10.151
O 1.291 1.496 0.730
O 1.473 0.000 5.412
O 1.563 0.000 3.006
O 3.111 0.000 8.991
O 3.104 0.000 11.393
O 3.593 1.496 1.603
O 3.535 1.496 6.727
O 3.601 0.000 4.256
O 5.752 1.496 10.182
O 5.852 1.496 5.043
O 5.849 0.000 7.535
O 6.210 0.000 0.361
O 6.232 0.000 2.748
O 7.970 0.000 6.337
O 7.934 0.000 8.729
O 8.142 1.496 10.946
O 8.251 1.496 4.111
O 8.324 0.000 1.561
```

Electronic total energy ... -7.219 eV per atom
E above lowest polymorph ... 17 meV per atom

***

[2]
A relaxed structure of LiCo4O8, computed with PBE with a Hubbard U. Values from VASP.

The structure in Quantum ESPRESSO input format:
```
&SYSTEM
  ibrav = 0, nat = 26, ntyp = 3
/
ATOMIC_SPECIES
Li 6.94 Li.upf
Co 58.93 Co.upf
O 16.00 O.upf
CELL_PARAMETERS angstrom
5.700 0.000 0.000
2.850 5.280 0.000
0.010 3.065 9.291
ATOMIC_POSITIONS angstrom
Li 0.000 0.000 0.000
Li 2.853 1.537 4.618
Co 1.437 4.157 4.648
Co 2.847 3.409 2.309
Co 2.861 4.941 6.955
Co 4.282 5.725 9.266
Co 4.280 4.158 4.643
Co 5.703 3.408 2.309
Co 5.711 4.941 6.955
Co 7.139 5.723 9.262
O 1.432 4.287 8.047
O 1.509 2.716 3.442
O 2.865 6.377 8.194
O 2.855 4.813 3.578
O 2.849 2.004 1.039
O 2.863 3.505 5.715
O 4.196 4.088 1.181
O 4.290 5.586 5.866
O 4.208 2.733 3.430
O 4.291 4.295 8.043
O 5.713 6.362 8.226
O 5.705 4.824 3.593
O 5.698 1.992 1.025
O 5.710 3.519 5.684
O 7.131 5.595 5.862
O 7.198 4.096 1.184
```

Electronic total energy ... -5.753 eV per atom
E above lowest polymorph ... 3 meV per atom

***

[3]
A relaxed structure of Mn9P8O32, computed with PBE with a Hubbard U. Values from VASP.

The structure in Quantum ESPRESSO input format:
```
&SYSTEM
  ibrav = 0, nat = 49, ntyp = 3
/
ATOMIC_SPECIES
Mn 54.94 Mn.upf
P 30.97 P.upf
O 16.00 O.upf
CELL_PARAMETERS angstrom
8.923 0.000 0.000
-1.908 8.777 0.000
-1.586 -3.927 8.262
ATOMIC_POSITIONS angstrom
Mn 0.000 0.000 0.000
Mn -1.747 2.425 4.131
Mn 0.866 0.033 3.694
Mn 1.235 5.250 0.496
Mn 1.021 -2.020 7.857
Mn 3.669 -1.963 4.131
Mn 4.408 6.870 0.405
Mn 4.194 -0.400 7.766
Mn 4.563 4.817 4.568
P -0.523 2.774 1.258
P -1.290 5.347 4.933
P 2.626 -0.524 1.811
P 1.483 0.884 6.569
P 3.946 3.966 1.693
P 2.803 5.374 6.451
P 6.718 -0.497 3.329
P 5.952 2.076 7.004
O -0.885 -0.501 4.167
O -0.496 2.129 2.681
O 0.519 1.965 0.439
O -0.201 4.275 1.312
O -1.541 2.279 7.573
O 1.039 -0.637 1.809
O -1.634 5.566 6.434
O -0.671 3.934 4.712
O -0.335 6.462 4.434
O 0.551 -0.241 7.098
O 1.032 1.314 5.166
O 3.089 0.284 0.631
O 1.439 6.893 1.884
O 2.796 0.106 3.256
O 2.456 4.335 1.726
O 1.246 2.029 7.635
O 4.183 2.821 0.627
O 2.973 0.515 6.536
O 2.632 4.744 5.006
O 3.990 -2.043 6.378
O 2.340 4.566 7.631
O 4.397 3.536 3.096
O 4.878 5.091 1.164
O 5.764 -1.612 3.828
O 6.100 0.916 3.550
O 7.063 -0.716 1.828
O 4.390 5.487 6.453
O 6.970 2.571 0.689
O 5.630 0.575 6.950
O 4.910 2.885 7.823
O 5.925 2.721 5.581
O 6.314 5.351 4.095
```

Electronic total energy ... -7.470 eV per atom

***

[4]
A relaxed structure of Gd2MnNiO6, computed with PBE with a Hubbard U. Values from VASP.

The structure in Quantum ESPRESSO input format:
```
&SYSTEM
  ibrav = 0, nat = 20, ntyp = 4
/
ATOMIC_SPECIES
Gd 157.25 Gd.upf
Mn 54.94 Mn.upf
Ni 58.69 Ni.upf
O 16.00 O.upf
CELL_PARAMETERS angstrom
5.341 0.000 0.000
0.000 5.652 0.000
-5.282 0.000 7.634
ATOMIC_POSITIONS angstrom
Gd -0.085 0.371 1.892
Gd -2.726 2.455 5.710
Gd 2.785 3.197 1.925
Gd 0.144 5.281 5.742
Mn 2.671 0.000 0.000
Mn 0.030 2.826 3.817
Ni -2.641 0.000 3.817
Ni 0.000 2.826 0.000
O -4.184 1.068 7.258
O -1.544 1.758 3.441
O -3.603 4.028 7.191
O -0.962 4.450 3.374
O -2.067 0.211 5.799
O 0.574 2.615 1.982
O -0.515 3.037 5.653
O 2.126 5.441 1.836
O 1.022 1.202 4.261
O 3.663 1.624 0.444
O 1.603 3.894 4.193
O 4.244 4.584 0.376
```

Electronic total energy ... -9.247 eV per atom

***

[5]
A relaxed structure of BaZnCoF7, computed with PBE with a Hubbard U. Values from VASP.

The structure in Quantum ESPRESSO input format:
```
&SYSTEM
  ibrav = 0, nat = 40, ntyp = 4
/
ATOMIC_SPECIES
Ba 137.33 Ba.upf
Zn 65.41 Zn.upf
Co 58.93 Co.upf
F 19.00 F.upf
CELL_PARAMETERS angstrom
5.672 0.000 0.000
0.000 10.012 0.000
-0.515 0.000 9.602
ATOMIC_POSITIONS angstrom
Ba 1.337 1.873 0.001
Ba 1.079 3.133 4.801
Ba 4.077 6.879 4.800
Ba 3.819 8.139 9.601
Zn 0.707 6.010 7.773
Zn 0.965 9.008 2.972
Zn 4.192 1.004 6.630
Zn 4.449 4.002 1.829
Co 1.632 6.124 1.823
Co 1.374 8.893 6.624
Co 3.782 1.119 2.978
Co 3.524 3.887 7.778
F -0.005 7.100 2.392
F -0.263 7.918 7.193
F 0.340 5.420 5.953
F 0.598 9.598 1.152
F 0.446 0.505 6.039
F 0.704 4.501 1.238
F 1.370 6.923 0.081
F 1.112 8.095 4.882
F 2.001 5.445 3.495
F 1.743 9.573 8.296
F 2.008 0.576 3.642
F 1.751 4.430 8.442
F 2.333 7.219 7.199
F 2.591 7.799 2.398
F 2.566 2.213 7.204
F 2.824 2.793 2.403
F 3.406 5.582 1.159
F 3.148 9.436 5.960
F 3.413 0.439 1.306
F 3.155 4.567 6.107
F 4.044 1.917 4.720
F 3.787 3.089 9.521
F 4.452 5.511 8.364
F 4.710 9.507 3.563
F 4.559 0.414 8.450
F 4.816 4.592 3.649
F 5.419 2.094 2.409
F 5.162 2.912 7.210
```

Electronic total energy ... -4.759 eV per atom

***

[6]
A relaxed structure of Sm2MgMo2I8O30, computed with PBE with a Hubbard U. Values from VASP.

The structure in Quantum ESPRESSO input format:
```
&SYSTEM
  ibrav = 0, nat = 43, ntyp = 5
/
ATOMIC_SPECIES
Sm 150.36 Sm.upf
Mg 24.30 Mg.upf
Mo 95.94 Mo.upf
I 126.90 I.upf
O 16.00 O.upf
CELL_PARAMETERS angstrom
6.904 0.000 0.000
-2.967 6.633 0.000
-0.572 -0.665 14.710
ATOMIC_POSITIONS angstrom
Sm 0.000 0.000 0.000
Sm -1.193 5.654 6.834
Mg -2.122 4.854 10.147
Mo 1.225 3.815 11.875
Mo 4.180 1.389 4.579
I 0.632 2.426 5.232
I 0.531 3.754 1.402
I 2.064 0.764 10.504
I 3.602 1.273 1.121
I 2.023 4.340 8.325
I 3.680 4.748 3.416
I 5.060 1.847 8.538
I 4.712 2.681 12.696
O -2.487 3.796 14.106
O -2.402 5.534 1.989
O -2.155 5.337 4.760
O -1.407 3.661 8.633
O -0.091 2.031 1.239
O 0.972 -0.189 11.631
O 0.808 1.203 6.590
O 1.276 -0.124 9.060
O 0.220 2.967 13.089
O 0.504 4.015 3.192
O 2.260 0.585 0.097
O 0.472 3.949 6.260
O -0.100 4.650 10.986
O 1.039 2.311 10.344
O 2.960 0.867 2.799
O 3.339 0.134 5.510
O 2.449 2.720 4.924
O 2.340 3.487 1.183
O 0.925 5.811 8.323
O 3.243 2.011 8.356
O 2.874 2.424 12.196
O 1.777 6.451 0.942
O 2.118 5.025 12.807
O 2.763 4.529 10.084
O 5.552 0.552 3.844
O 4.507 3.084 3.212
O 3.387 5.079 7.398
O 4.858 1.064 13.478
O 5.058 1.508 10.326
O 5.086 2.300 5.877
```

Electronic total energy ... -5.364 eV per atom
E above lowest polymorph ... 24 meV per atom

***

[7]
A relaxed structure of MgNbCrO4, computed with PBE with a Hubbard U. Values from VASP.

The structure in Quantum ESPRESSO input format:
```
&SYSTEM
  ibrav = 0, nat = 7, ntyp = 4
/
ATOMIC_SPECIES
Mg 24.30 Mg.upf
Nb 92.91 Nb.upf
Cr 52.00 Cr.upf
O 16.00 O.upf
CELL_PARAMETERS angstrom
3.007 0.000 0.000
0.000 3.305 4.410
0.000 -3.305 4.410
ATOMIC_POSITIONS angstrom
Mg 0.000 0.000 0.000
Nb 0.000 0.000 2.922
Cr 1.503 0.000 6.490
O 0.000 -2.019 2.766
O 0.000 2.019 2.766
O 1.503 0.000 1.261
O 1.503 0.000 4.359
```

Electronic total energy ... -7.642 eV per atom
E above lowest polymorph ... 110 meV per atom

***

[8]
A relaxed structure of Gd6WO12, computed with PBE with a Hubbard U. Values from VASP.

The structure in Quantum ESPRESSO input format:
```
&SYSTEM
  ibrav = 0, nat = 19, ntyp = 3
/
ATOMIC_SPECIES
Gd 157.25 Gd.upf
W 183.84 W.upf
O 16.00 O.upf
CELL_PARAMETERS angstrom
4.991 2.881 3.180
-4.991 2.881 3.180
0.000 -5.763 3.180
ATOMIC_POSITIONS angstrom
Gd -3.503 -1.048 4.982
Gd -0.844 -3.557 4.558
Gd -2.659 2.509 4.558
Gd 2.659 -2.509 4.982
Gd 0.844 3.557 4.982
Gd 3.503 1.048 4.558
W 0.000 0.000 4.770
O -4.206 0.947 4.125
O -2.923 -3.169 5.415
O -1.098 -1.243 3.705
O 1.283 -4.116 4.125
O -0.528 1.573 3.705
O -1.626 0.330 5.835
O 1.626 -0.330 3.705
O 0.528 -1.573 5.835
O -1.283 4.116 5.415
O 1.098 1.243 5.835
O 2.923 3.169 4.125
O 4.206 -0.947 5.415
```

Electronic total energy ... -11.202 eV per atom

***

[9]
A relaxed structure of MoO3, computed with PBE with a Hubbard U. Values from VASP.

The structure in Quantum ESPRESSO input format:
```
&SYSTEM
  ibrav = 0, nat = 100, ntyp = 2
/
ATOMIC_SPECIES
Mo 95.94 Mo.upf
O 16.00 O.upf
CELL_PARAMETERS angstrom
11.782 0.000 0.000
0.590 12.193 0.000
0.014 0.285 13.693
ATOMIC_POSITIONS angstrom
Mo 0.000 0.000 0.000
Mo 0.413 8.268 12.339
Mo 0.817 4.023 3.857
Mo 1.292 5.671 10.688
Mo 1.716 9.650 8.978
Mo 1.623 5.324 0.437
Mo 1.664 0.708 4.993
Mo 2.829 0.609 11.658
Mo 3.598 9.897 0.498
Mo 3.706 10.346 4.197
Mo 4.887 7.224 3.971
Mo 4.868 5.046 7.113
Mo 5.916 9.920 12.218
Mo 6.674 10.085 6.069
Mo 6.812 6.272 13.246
Mo 6.745 3.969 2.600
Mo 7.477 5.368 9.333
Mo 7.922 12.184 0.059
Mo 8.491 6.071 4.026
Mo 8.604 3.434 11.973
Mo 8.648 0.471 5.195
Mo 9.516 9.358 8.304
Mo 10.945 0.518 8.058
Mo 12.061 8.964 1.589
Mo 11.994 6.698 8.073
O 0.649 10.845 1.396
O 0.495 7.107 0.522
O 0.270 0.358 6.040
O 0.733 8.534 3.192
O 0.747 4.380 13.321
O 0.978 9.091 10.592
O 1.223 11.339 8.558
O 1.111 8.461 7.683
O 0.942 0.784 12.040
O 1.030 2.135 3.860
O 1.168 4.967 2.255
O 1.649 9.385 13.349
O 1.800 4.052 10.736
O 1.961 6.545 9.183
O 1.900 4.598 5.047
O 2.088 6.553 12.151
O 2.907 11.902 3.395
O 2.926 11.777 13.620
O 2.981 10.961 5.712
O 3.105 9.536 2.186
O 2.769 0.504 9.946
O 2.874 1.508 5.883
O 3.410 9.566 9.100
O 3.274 4.856 0.419
O 3.520 8.564 4.631
O 3.438 4.264 7.661
O 3.617 2.084 12.036
O 3.875 6.249 2.985
O 4.309 8.976 12.794
O 4.547 6.311 5.825
O 4.939 11.411 11.775
O 5.269 10.353 0.764
O 5.428 10.766 4.424
O 5.582 10.845 7.142
O 5.573 8.367 2.851
O 5.365 3.398 3.424
O 5.578 5.748 12.193
O 5.776 5.789 8.716
O 6.148 8.478 5.576
O 5.787 0.597 0.455
O 5.975 3.851 6.536
O 6.334 9.283 10.699
O 6.360 5.412 1.238
O 6.609 6.147 3.931
O 6.870 8.052 13.174
O 7.516 10.879 12.785
O 7.239 2.736 1.498
O 7.885 9.379 7.461
O 7.682 3.708 10.384
O 7.636 1.775 4.725
O 8.104 11.108 5.303
O 7.967 6.621 10.425
O 8.058 1.864 12.692
O 8.643 11.791 1.555
O 8.322 5.044 12.906
O 8.308 4.168 3.679
O 8.586 5.345 8.034
O 9.101 6.784 2.581
O 9.144 6.864 5.413
O 9.331 9.840 9.933
O 9.482 0.933 6.829
O 9.836 0.262 3.973
O 10.357 9.018 1.627
O 10.370 7.665 8.241
O 10.033 0.329 9.507
O 10.589 10.507 7.517
O 10.256 3.331 11.626
O 10.783 12.196 13.072
O 10.720 9.080 12.602
O 10.991 4.435 4.360
O 11.500 6.689 11.554
O 11.538 5.420 9.327
O 11.680 1.456 0.896
O 11.729 2.018 8.302
O 11.986 5.917 6.579
```

Electronic total energy ... -6.876 eV per atom

***

[10]
A relaxed structure of Li9Co7O16, computed with PBE with a Hubbard U. Values from VASP.

The structure in Quantum ESPRESSO input format:
```
&SYSTEM
  ibrav = 0, nat = 32, ntyp = 3
/
ATOMIC_SPECIES
Li 6.94 Li.upf
Co 58.93 Co.upf
O 16.00 O.upf
CELL_PARAMETERS angstrom
10.195 -1.465 0.000
10.195 1.465 0.000
-2.877 0.000 9.428
ATOMIC_POSITIONS angstrom
Li 0.000 0.000 0.000
Li 0.377 0.000 2.901
Li 1.112 0.000 8.878
Li 4.752 0.000 5.283
Li 8.477 0.000 1.701
Li 9.036 0.000 7.727
Li 12.761 0.000 4.144
Li 16.401 0.000 0.550
Li 17.136 0.000 6.527
Co 0.735 0.000 5.894
Co 4.410 0.000 2.314
Co 5.199 0.000 8.257
Co 8.757 0.000 4.714
Co 12.314 0.000 1.171
Co 13.103 0.000 7.114
Co 16.778 0.000 3.533
O -1.188 0.000 6.141
O -0.852 0.000 9.355
O 2.430 0.000 2.464
O 2.682 0.000 5.641
O 3.221 0.000 8.469
O 6.313 0.000 2.092
O 6.858 0.000 4.924
O 6.971 0.000 7.948
O 10.543 0.000 1.480
O 10.655 0.000 4.504
O 11.201 0.000 7.336
O 14.293 0.000 0.959
O 14.832 0.000 3.786
O 15.083 0.000 6.964
O 18.366 0.000 0.073
O 18.701 0.000 3.287
```

Electronic total energy ... -5.559 eV per atom
E above lowest polymorph ... 60 meV per atom

***

Please write out number 7 again, unchanged.
A relaxed structure of MgNbCrO4, computed with PBE with a Hubbard U. Values from VASP.

The structure in Quantum ESPRESSO input format:
```
&SYSTEM
  ibrav = 0, nat = 7, ntyp = 4
/
ATOMIC_SPECIES
Mg 24.30 Mg.upf
Nb 92.91 Nb.upf
Cr 52.00 Cr.upf
O 16.00 O.upf
CELL_PARAMETERS angstrom
3.007 0.000 0.000
0.000 3.305 4.410
0.000 -3.305 4.410
ATOMIC_POSITIONS angstrom
Mg 0.000 0.000 0.000
Nb 0.000 0.000 2.922
Cr 1.503 0.000 6.490
O 0.000 -2.019 2.766
O 0.000 2.019 2.766
O 1.503 0.000 1.261
O 1.503 0.000 4.359
```

Electronic total energy ... -7.642 eV per atom
E above lowest polymorph ... 110 meV per atom

***

The lowest electronic total energy belongs to which entry? Gd6WO12

***

The lowest electronic total energy belongs to which entry? Gd6WO12